This record from the Materials Project database describes NbSiRu2 after structural relaxation. The functional is PBE.

Results
As for the volume: 14.5 Å³/atom. As for the final energy: -8.936 eV/atom. As for the energy of formation from the pure elements: -417 meV/atom.

Cell: 4.3457 4.3457 4.3457 Å, 60.00 60.00 60.00°
Closest atoms and distances in Å follow each position.
Atoms (fractional coordinates):
Nb 0.0000 0.0000 0.0000  8 Ru 2.66
Si 0.5000 0.5000 0.5000  8 Ru 2.66
Ru 0.2500 0.2500 0.2500  4 Nb 2.66, 4 Si 2.66
Ru 0.7500 0.7500 0.7500  4 Si 2.66, 4 Nb 2.66